1.
CaLaMnNbO6 PBE with a Hubbard U relaxed; V = 529.7 Å³ per cell; energy of formation from the pure elements = -3207 meV/atom; E_tot = -328.70 eV for the cell shown; relative energy among the computed polymorphs = 0 meV/atom; mass density = 5.3 g/cm3
1.0
-2.785 -0.423 5.098
4.683 8.020 3.224
-5.208 8.078 -2.175
Ca La Mn Nb O
4 4 4 4 24
direct
0.553 0.880 0.368
0.553 0.380 0.868
0.947 0.880 0.868
0.947 0.380 0.368
0.449 0.121 0.632
0.449 0.621 0.132
0.051 0.121 0.132
0.051 0.621 0.632
0.502 0.749 0.750
0.998 0.749 0.250
0.502 0.249 0.250
0.998 0.249 0.750
0.503 0.001 0.001
0.503 0.501 0.501
0.997 0.001 0.501
0.997 0.501 0.001
0.808 0.120 0.330
0.808 0.620 0.830
0.692 0.120 0.830
0.692 0.620 0.330
0.187 0.880 0.671
0.187 0.380 0.171
0.313 0.880 0.171
0.313 0.380 0.671
0.286 0.063 0.379
0.286 0.563 0.879
0.214 0.063 0.879
0.214 0.563 0.379
0.710 0.935 0.622
0.710 0.435 0.122
0.790 0.935 0.122
0.790 0.435 0.622
0.958 0.830 0.431
0.958 0.330 0.931
0.541 0.330 0.431
0.541 0.830 0.931
0.037 0.172 0.567
0.037 0.672 0.067
0.463 0.672 0.567
0.463 0.172 0.067



2.
W3O8 PBE with a Hubbard U relaxed; V = 588.7 Å³ per cell; energy of formation from the pure elements = -2077 meV/atom; E_tot = -329.97 eV for the cell shown; relative energy among the computed polymorphs = 63 meV/atom; mass density = 7.7 g/cm3; space group = Pbam, No. 55
1.0
10.580 0.000 0.000
0.000 14.451 0.000
0.000 0.000 3.851
W O
12 32
direct
0.026 0.109 0.000
0.127 0.661 0.000
0.215 0.409 0.000
0.285 0.909 0.000
0.373 0.161 0.000
0.474 0.609 0.000
0.526 0.391 0.000
0.627 0.839 0.000
0.715 0.091 0.000
0.785 0.591 0.000
0.873 0.339 0.000
0.974 0.891 0.000
0.023 0.111 0.500
0.054 0.336 0.000
0.121 0.985 0.000
0.126 0.530 0.000
0.127 0.669 0.500
0.132 0.806 0.000
0.192 0.171 0.000
0.220 0.405 0.500
0.280 0.905 0.500
0.308 0.671 0.000
0.368 0.306 0.000
0.373 0.169 0.500
0.374 0.030 0.000
0.379 0.485 0.000
0.446 0.836 0.000
0.477 0.611 0.500
0.523 0.389 0.500
0.554 0.164 0.000
0.621 0.515 0.000
0.626 0.970 0.000
0.627 0.831 0.500
0.632 0.694 0.000
0.692 0.329 0.000
0.720 0.095 0.500
0.780 0.595 0.500
0.808 0.829 0.000
0.868 0.194 0.000
0.873 0.331 0.500
0.874 0.470 0.000
0.879 0.015 0.000
0.946 0.664 0.000
0.977 0.889 0.500



Q: Which value of mass density does entry 2 give?
A: 7.7 g/cm3